[1]
Computed, not measured: a geometry-optimized Na2PH15O11 structure at the PBE level of DFT.

Unit cell a=9.347 b=11.107 c=13.350 alpha=90.00 beta=128.43 gamma=90.00
Space group P2_1/c (No. 14)
One atom of each set of equivalent atoms:
Na 0.157 0.106 0.024 [4 per cell]
Na 0.166 0.105 0.525 [4 per cell]
P 0.292 0.737 0.895 [4 per cell]
H 0.009 0.608 0.352 [4 per cell]
H 0.016 0.084 0.667 [4 per cell]
H 0.107 0.249 0.817 [4 per cell]
H 0.117 0.744 0.004 [4 per cell]
H 0.122 0.507 0.715 [4 per cell]
H 0.149 0.531 0.221 [4 per cell]
H 0.174 0.728 0.145 [4 per cell]
H 0.325 0.250 0.418 [4 per cell]
H 0.405 0.571 0.870 [4 per cell]
H 0.428 0.241 0.776 [4 per cell]
H 0.437 0.580 0.581 [4 per cell]
H 0.438 0.590 0.100 [4 per cell]
H 0.481 0.555 0.379 [4 per cell]
H 0.483 0.511 0.217 [4 per cell]
H 0.488 0.234 0.190 [4 per cell]
O 0.041 0.037 0.133 [4 per cell]
O 0.069 0.021 0.646 [4 per cell]
O 0.073 0.747 0.054 [4 per cell]
O 0.097 0.749 0.354 [4 per cell]
O 0.212 0.250 0.409 [4 per cell]
O 0.293 0.598 0.859 [4 per cell]
O 0.326 0.682 0.318 [4 per cell]
O 0.380 0.249 0.187 [4 per cell]
O 0.431 0.502 0.613 [4 per cell]
O 0.436 0.508 0.127 [4 per cell]
O 0.442 0.748 0.541 [4 per cell]

Properties
MP2020-corrected energy (eV/cell): -634.54

[2]
Computed, not measured: a geometry-optimized NaP2H5O8 structure at the PBE level of DFT.

Unit cell a=8.687 b=7.825 c=10.506 alpha=90.00 beta=90.20 gamma=90.00
Space group P2_1/c (No. 14)
One atom of each set of equivalent atoms:
Na 0.221 0.088 0.338 [4 per cell]
P 0.039 0.240 0.071 [4 per cell]
P 0.414 0.513 0.308 [4 per cell]
H 0.040 0.596 0.600 [4 per cell]
H 0.168 0.707 0.310 [4 per cell]
H 0.191 0.036 0.643 [4 per cell]
H 0.440 0.153 0.979 [4 per cell]
H 0.477 0.663 0.835 [4 per cell]
O 0.003 0.214 0.925 [4 per cell]
O 0.104 0.083 0.135 [4 per cell]
O 0.111 0.696 0.858 [4 per cell]
O 0.150 0.103 0.563 [4 per cell]
O 0.260 0.562 0.246 [4 per cell]
O 0.386 0.152 0.892 [4 per cell]
O 0.467 0.540 0.799 [4 per cell]
O 0.485 0.657 0.386 [4 per cell]

Properties
MP2020-corrected energy (eV/cell): -404.60

[3]
Computed, not measured: a geometry-optimized Na5P3H12O16 structure at the PBE level of DFT.

Unit cell a=7.612 b=9.894 c=10.453 alpha=90.73 beta=94.76 gamma=92.14
Space group P-1 (No. 2)
One atom of each set of equivalent atoms:
Na 0.049 0.089 0.368 [2 per cell]
Na 0.091 0.434 0.382 [2 per cell]
Na 0.230 0.742 0.839 [2 per cell]
Na 0.417 0.437 0.637 [2 per cell]
Na 0.422 0.050 0.646 [2 per cell]
P 0.048 0.234 0.647 [2 per cell]
P 0.260 0.245 0.891 [2 per cell]
P 0.282 0.737 0.505 [2 per cell]
H 0.057 0.509 0.880 [2 per cell]
H 0.075 0.989 0.888 [2 per cell]
H 0.087 0.105 0.085 [2 per cell]
H 0.107 0.410 0.088 [2 per cell]
H 0.171 0.742 0.118 [2 per cell]
H 0.325 0.265 0.254 [2 per cell]
H 0.378 0.752 0.119 [2 per cell]
H 0.380 0.987 0.900 [2 per cell]
H 0.388 0.219 0.393 [2 per cell]
H 0.391 0.497 0.878 [2 per cell]
H 0.440 0.083 0.104 [2 per cell]
H 0.440 0.411 0.097 [2 per cell]
O 0.005 0.910 0.854 [2 per cell]
O 0.028 0.427 0.157 [2 per cell]
O 0.066 0.231 0.803 [2 per cell]
O 0.107 0.372 0.603 [2 per cell]
O 0.129 0.110 0.593 [2 per cell]
O 0.160 0.744 0.614 [2 per cell]
O 0.163 0.788 0.372 [2 per cell]
O 0.252 0.379 0.967 [2 per cell]
O 0.255 0.119 0.976 [2 per cell]
O 0.266 0.745 0.062 [2 per cell]
O 0.282 0.247 0.337 [2 per cell]
O 0.334 0.594 0.471 [2 per cell]
O 0.402 0.247 0.797 [2 per cell]
O 0.437 0.841 0.517 [2 per cell]
O 0.447 0.929 0.844 [2 per cell]
O 0.459 0.571 0.838 [2 per cell]

Properties
Offset from the most stable computed form (meV per atom): 0
MP2020-corrected energy (eV/cell): -424.86

[4]
Computed, not measured: a geometry-optimized Na5P5H18O14 structure at the PBE level of DFT.

Unit cell a=11.213 b=13.716 c=15.002 alpha=90.00 beta=122.48 gamma=90.00
Space group P2_1/c (No. 14)
One atom of each set of equivalent atoms:
Na 0.019 0.174 0.457 [4 per cell]
Na 0.236 0.569 0.355 [4 per cell]
Na 0.263 0.740 0.997 [4 per cell]
Na 0.271 0.563 0.143 [4 per cell]
Na 0.469 0.177 0.041 [4 per cell]
P 0.015 0.109 0.080 [4 per cell]
P 0.027 0.549 0.858 [4 per cell]
P 0.257 0.703 0.747 [4 per cell]
P 0.421 0.101 0.381 [4 per cell]
P 0.471 0.555 0.639 [4 per cell]
H 0.033 0.118 0.726 [4 per cell]
H 0.039 0.206 0.265 [4 per cell]
H 0.092 0.028 0.145 [4 per cell]
H 0.092 0.564 0.515 [4 per cell]
H 0.137 0.504 0.851 [4 per cell]
H 0.143 0.638 0.719 [4 per cell]
H 0.171 0.147 0.882 [4 per cell]
H 0.185 0.101 0.980 [4 per cell]
H 0.191 0.196 0.369 [4 per cell]
H 0.296 0.193 0.133 [4 per cell]
H 0.302 0.088 0.276 [4 per cell]
H 0.303 0.103 0.520 [4 per cell]
H 0.319 0.148 0.619 [4 per cell]
H 0.356 0.519 0.644 [4 per cell]
H 0.370 0.637 0.774 [4 per cell]
H 0.447 0.004 0.420 [4 per cell]
H 0.454 0.191 0.231 [4 per cell]
H 0.462 0.123 0.776 [4 per cell]
O 0.057 0.661 0.372 [4 per cell]
O 0.083 0.529 0.166 [4 per cell]
O 0.096 0.226 0.340 [4 per cell]
O 0.096 0.606 0.961 [4 per cell]
O 0.112 0.166 0.057 [4 per cell]
O 0.219 0.092 0.932 [4 per cell]
O 0.222 0.740 0.149 [4 per cell]
O 0.267 0.096 0.567 [4 per cell]
O 0.293 0.742 0.347 [4 per cell]
O 0.373 0.161 0.442 [4 per cell]
O 0.392 0.218 0.159 [4 per cell]
O 0.410 0.614 0.537 [4 per cell]
O 0.429 0.529 0.338 [4 per cell]
O 0.455 0.636 0.124 [4 per cell]

Properties
MP2020-corrected energy (eV/cell): -901.10